1.
# KH2SNO3

KH2SNO3 after structural relaxation (PBE, the Materials Project database).

Cell and atoms, written as POSCAR:
```
KH2SNO3
1.0
6.031 0.000 0.000
0.000 8.485 0.000
0.000 0.000 8.341
K H S N O
4 8 4 4 12
Direct
0.165 0.250 0.000
0.165 0.250 0.500
0.835 0.750 0.000
0.835 0.750 0.500
0.259 0.622 0.150
0.259 0.622 0.350
0.259 0.878 0.650
0.259 0.878 0.850
0.741 0.122 0.150
0.741 0.122 0.350
0.741 0.378 0.650
0.741 0.378 0.850
0.322 0.638 0.750
0.322 0.862 0.250
0.678 0.138 0.750
0.678 0.362 0.250
0.206 0.682 0.250
0.206 0.818 0.750
0.794 0.182 0.250
0.794 0.318 0.750
0.238 0.566 0.602
0.238 0.566 0.898
0.238 0.934 0.102
0.238 0.934 0.398
0.434 0.155 0.750
0.434 0.345 0.250
0.566 0.655 0.750
0.566 0.845 0.250
0.762 0.066 0.602
0.762 0.066 0.898
0.762 0.434 0.102
0.762 0.434 0.398
```

Values from the calculation:
- total energy after the MP2020 corrections (eV for the cell shown) = -186.11
- energy of formation from the pure elements (eV/atom) = -1.41
- total moment (Bohr magnetons per cell) = 0.00
- ρ (g/cm3) = 2.104

=====

2.
# K2HS2NO6

K2HS2NO6 after structural relaxation (PBE, the Materials Project database).

Cell and atoms, written as POSCAR:
```
K2HS2NO6
1.0
6.372 -3.866 0.000
6.372 3.866 0.000
-0.003 0.000 7.278
K H S N O
4 2 4 2 12
Direct
0.018 0.291 0.358
0.291 0.018 0.858
0.709 0.982 0.142
0.982 0.709 0.642
0.453 0.547 0.750
0.547 0.453 0.250
0.222 0.578 0.138
0.422 0.778 0.362
0.578 0.222 0.638
0.778 0.422 0.862
0.416 0.584 0.250
0.584 0.416 0.750
0.052 0.652 0.268
0.173 0.712 0.977
0.288 0.827 0.523
0.303 0.364 0.092
0.348 0.948 0.232
0.364 0.303 0.592
0.636 0.697 0.408
0.652 0.052 0.768
0.697 0.636 0.908
0.712 0.173 0.477
0.827 0.288 0.023
0.948 0.348 0.732
```

Values from the calculation:
- total energy after the MP2020 corrections (eV for the cell shown) = -145.65
- excess energy over the best structure of this formula in the dataset (meV per atom) = 5
- energy of formation from the pure elements (eV/atom) = -1.74
- total moment (Bohr magnetons per cell) = 0.00
- ρ (g/cm3) = 2.346

=====

3.
# K2HS2NO6

K2HS2NO6 after structural relaxation (PBE, the Materials Project database).

Cell and atoms, written as POSCAR:
```
K2HS2NO6
1.0
6.360 -3.789 0.000
6.360 3.789 0.000
-0.157 0.000 7.327
K H S N O
4 2 4 2 12
Direct
0.145 0.855 0.500
0.156 0.452 0.212
0.452 0.156 0.712
0.855 0.145 0.000
0.596 0.659 0.680
0.659 0.596 0.180
0.376 0.729 0.998
0.574 0.933 0.220
0.729 0.376 0.498
0.933 0.574 0.720
0.581 0.727 0.105
0.727 0.581 0.605
0.099 0.498 0.585
0.201 0.807 0.124
0.333 0.863 0.840
0.435 0.986 0.376
0.453 0.512 0.951
0.498 0.099 0.085
0.512 0.453 0.451
0.790 0.858 0.272
0.807 0.201 0.624
0.858 0.790 0.772
0.863 0.333 0.340
0.986 0.435 0.876
```

Values from the calculation:
- total energy after the MP2020 corrections (eV for the cell shown) = -145.78
- excess energy over the best structure of this formula in the dataset (meV per atom) = 0
- energy of formation from the pure elements (eV/atom) = -1.75
- total moment (Bohr magnetons per cell) = 0.00
- ρ (g/cm3) = 2.382

=====

4.
# K2HS2NO6

K2HS2NO6 after structural relaxation (PBE, the Materials Project database).

Cell and atoms, written as POSCAR:
```
K2HS2NO6
1.0
12.635 0.000 0.000
0.000 7.320 0.000
-0.061 0.000 7.392
K H S N O
4 2 4 2 12
Direct
0.000 0.164 0.000
0.000 0.836 0.500
0.712 0.169 0.761
0.712 0.831 0.261
0.883 0.472 0.800
0.883 0.528 0.300
0.754 0.312 0.266
0.754 0.688 0.766
0.961 0.319 0.483
0.961 0.681 0.983
0.858 0.417 0.374
0.858 0.583 0.874
0.010 0.180 0.365
0.010 0.820 0.865
0.028 0.475 0.523
0.028 0.525 0.023
0.688 0.467 0.217
0.688 0.533 0.717
0.710 0.186 0.399
0.710 0.814 0.899
0.796 0.211 0.109
0.796 0.789 0.609
0.917 0.233 0.647
0.917 0.767 0.147
```

Values from the calculation:
- total energy after the MP2020 corrections (eV for the cell shown) = -144.95
- excess energy over the best structure of this formula in the dataset (meV per atom) = 34
- energy of formation from the pure elements (eV/atom) = -1.71
- total moment (Bohr magnetons per cell) = 0.00
- ρ (g/cm3) = 1.231